(1)
PBE Ti2ReRu, relaxed; space-group type = Fm-3m; calculated formation energy = -0.57 eV per atom; E_tot = -9.950 eV/atom
1.0
0.0000 3.1030 3.1030
3.1030 0.0000 3.1030
3.1030 3.1030 0.0000
Ru Re Ti
1 1 2
direct
0.0000 0.0000 0.0000 Ru
0.5000 0.5000 0.5000 Re
0.2500 0.2500 0.2500 Ti
0.7500 0.7500 0.7500 Ti

(2)
PBE Na6Zn4Ga4SiS11O48, relaxed; corrected total energy (MP2020 scheme) = -6.27 eV/atom; space-group type = P1; calculated formation energy = -2.03 eV per atom; E_tot = -5.820 eV/atom
1.0
-5.3342 14.5977 7.6859
-3.5525 -7.6209 2.1804
15.3317 -2.6805 15.9901
Na Ga S O Zn Si
18 12 33 144 12 3
direct
0.6678 0.6679 0.6634 Na
0.8341 0.3254 0.8372 Na
0.6886 0.0002 0.7492 Na
0.5020 0.0021 0.4967 Na
0.0010 0.0015 0.0011 Na
0.4999 0.0000 0.0012 Na
0.9973 0.6341 0.2529 Na
0.3345 0.3350 0.3314 Na
0.3166 0.6440 0.7490 Na
0.9968 0.3623 0.7513 Na
0.6649 0.6559 0.1678 Na
0.1722 0.6867 0.6647 Na
0.3350 0.3141 0.8354 Na
0.9985 0.9984 0.4988 Na
0.8157 0.6393 0.7466 Na
0.8279 0.3438 0.3354 Na
0.8177 0.9977 0.2475 Na
0.1742 0.6694 0.1667 Na
0.3339 0.3146 0.6839 Ga
0.4992 0.0012 0.1514 Ga
0.4953 0.9980 0.6475 Ga
0.9979 0.0054 0.8525 Ga
0.9974 0.9864 0.3510 Ga
0.6662 0.6535 0.3155 Ga
0.9927 0.9947 0.6471 Ga
0.3332 0.3320 0.4811 Ga
0.9945 0.9927 0.1505 Ga
0.6656 0.6675 0.0166 Ga
0.1669 0.6676 0.0163 Ga
0.4934 0.0084 0.8522 Ga
0.8147 0.9623 0.4150 S
0.1661 0.3650 0.4167 S
0.6803 0.0339 0.5847 S
0.8148 0.6670 0.9171 S
0.0193 0.6689 0.4156 S
0.3333 0.0340 0.0834 S
0.3147 0.9658 0.4192 S
0.1468 0.0051 0.2500 S
0.6816 0.3324 0.0821 S
0.4989 0.2913 0.2502 S
0.3541 0.7080 0.2496 S
0.0022 0.7170 0.7499 S
0.4834 0.6341 0.0830 S
0.1826 0.3315 0.0835 S
0.5217 0.3751 0.9170 S
0.3146 0.6662 0.9169 S
0.6640 0.9616 0.9158 S
0.4789 0.3331 0.5825 S
0.0044 0.2912 0.2500 S
0.9841 0.3340 0.5834 S
0.1858 0.0431 0.5836 S
0.3347 0.6194 0.5844 S
0.4988 0.7094 0.7493 S
0.1643 0.9619 0.9171 S
0.0221 0.3749 0.9158 S
0.6417 0.2866 0.7501 S
0.9847 0.6335 0.0826 S
0.8332 0.0353 0.0830 S
0.1452 0.2833 0.7489 S
0.5201 0.6637 0.4170 S
0.8347 0.6300 0.5846 S
0.6657 0.3717 0.4175 S
0.6429 0.9957 0.2506 S
0.5192 0.8258 0.6953 O
0.5905 0.2036 0.6952 O
0.5764 0.6846 0.7551 O
0.7474 0.3575 0.4208 O
0.4142 0.0391 0.8090 O
0.2359 0.1626 0.2437 O
0.5162 0.2137 0.1948 O
0.4316 0.3517 0.9233 O
0.2648 0.6933 0.2530 O
0.5723 0.6890 0.4712 O
0.2485 0.3479 0.4234 O
0.1772 0.8663 0.5785 O
0.5900 0.9706 0.1949 O
0.7559 0.6532 0.5802 O
0.4146 0.5356 0.7421 O
0.9181 0.5404 0.7456 O
0.0812 0.4744 0.2550 O
0.5084 0.8198 0.4104 O
0.0198 0.2141 0.1949 O
0.9210 0.3013 0.2448 O
0.2371 0.3646 0.1373 O
0.7518 0.8524 0.0761 O
0.9061 0.9832 0.4091 O
0.6777 0.8864 0.8602 O
0.0780 0.4616 0.9696 O
0.2714 0.6973 0.9703 O
0.3450 0.5300 0.2430 O
0.5618 0.4797 0.8622 O
0.0738 0.4944 0.5778 O
0.9183 0.7949 0.3078 O
0.3463 0.1833 0.7432 O
0.9481 0.5277 0.1384 O
0.8228 0.5292 0.6417 O
0.2617 0.8941 0.3641 O
0.3246 0.5084 0.9244 O
0.0774 0.6834 0.7547 O
0.6523 0.4523 0.4715 O
0.6700 0.8550 0.5789 O
0.2554 0.6389 0.5799 O
0.1488 0.8482 0.9717 O
0.1829 0.4738 0.3621 O
0.5806 0.4725 0.2548 O
0.4221 0.3022 0.5290 O
0.9900 0.1805 0.3044 O
0.5165 0.1962 0.9143 O
0.3495 0.1418 0.0286 O
0.8188 0.1096 0.1388 O
0.4192 0.3097 0.2430 O
0.5770 0.4584 0.9715 O
0.1508 0.4410 0.4710 O
0.9196 0.8103 0.5873 O
0.0592 0.6456 0.3593 O
0.1069 0.0339 0.3048 O
0.9322 0.3525 0.9224 O
0.0900 0.2002 0.6953 O
0.0133 0.8367 0.4122 O
0.1779 0.8850 0.8627 O
0.4042 0.9868 0.4137 O
0.4070 0.7879 0.3033 O
0.6496 0.8464 0.9697 O
0.3167 0.1094 0.1373 O
0.4053 0.8316 0.9134 O
0.9937 0.1705 0.5882 O
0.9053 0.8318 0.9137 O
0.4834 0.7889 0.8039 O
0.1503 0.4590 0.7544 O
0.8444 0.1782 0.7468 O
0.9291 0.5533 0.0297 O
0.7436 0.1394 0.9228 O
0.2382 0.3173 0.7421 O
0.4142 0.0137 0.0904 O
0.6491 0.4623 0.7556 O
0.0856 0.1840 0.4096 O
0.1094 0.1751 0.8044 O
0.4858 0.1852 0.3041 O
0.7649 0.6408 0.8611 O
0.2402 0.1255 0.6383 O
0.4455 0.5246 0.1372 O
0.6797 0.4825 0.3619 O
0.3231 0.1479 0.4252 O
0.0914 0.1702 0.0910 O
0.0616 0.4768 0.8597 O
0.5855 0.1935 0.4115 O
0.2271 0.1558 0.5294 O
0.9270 0.3037 0.5314 O
0.2211 0.3007 0.0291 O
0.9471 0.3597 0.6405 O
0.6720 0.4949 0.0750 O
0.8472 0.5455 0.5318 O
0.3984 0.9572 0.6911 O
0.2521 0.8512 0.0761 O
0.8245 0.5084 0.9243 O
0.5808 0.9746 0.9111 O
0.4865 0.1693 0.5877 O
0.4287 0.4971 0.4220 O
0.5610 0.6340 0.3620 O
0.7219 0.1464 0.5318 O
0.9885 0.7985 0.8047 O
0.9208 0.0457 0.8087 O
0.1517 0.8384 0.2550 O
0.6039 0.1694 0.8045 O
0.3474 0.5336 0.5305 O
0.0186 0.8262 0.6950 O
0.3228 0.5127 0.6408 O
0.8233 0.1402 0.4195 O
0.2637 0.6392 0.8614 O
0.4179 0.7969 0.5874 O
0.7202 0.3010 0.0282 O
0.7350 0.3650 0.1364 O
0.0895 0.9725 0.1958 O
0.9154 0.0194 0.0869 O
0.8468 0.5144 0.2461 O
0.6498 0.8303 0.2558 O
0.0737 0.6951 0.4690 O
0.7546 0.6959 0.2581 O
0.7338 0.3128 0.7457 O
0.2730 0.8562 0.4732 O
0.8934 0.8382 0.1925 O
0.4382 0.3623 0.6374 O
0.2583 0.8226 0.7519 O
0.4942 0.8161 0.0902 O
0.1729 0.4946 0.0759 O
0.0964 0.0282 0.5902 O
0.7708 0.6963 0.9702 O
0.5895 0.0196 0.5907 O
0.0809 0.9751 0.9119 O
0.8976 0.9560 0.6932 O
0.7602 0.8795 0.3597 O
0.7757 0.8529 0.4689 O
0.5906 0.1702 0.0900 O
0.0755 0.6515 0.0752 O
0.6048 0.0278 0.3039 O
0.7554 0.8228 0.7546 O
0.8463 0.1447 0.0294 O
0.7308 0.1086 0.6412 O
0.5749 0.6539 0.0757 O
0.5678 0.4918 0.5776 O
0.3959 0.8198 0.1938 O
0.9293 0.5106 0.4209 O
0.2435 0.1403 0.9239 O
0.4297 0.5583 0.0288 O
0.9959 0.8157 0.0886 O
0.7355 0.1481 0.2433 O
0.0165 0.1959 0.9139 O
0.8341 0.3225 0.6793 Zn
0.6692 0.6689 0.5160 Zn
0.8284 0.3458 0.1829 Zn
0.8324 0.3333 0.4827 Zn
0.6689 0.6704 0.8176 Zn
0.8331 0.3329 0.9852 Zn
0.3333 0.3328 0.9859 Zn
0.1753 0.6909 0.8162 Zn
0.3342 0.3363 0.1819 Zn
0.1754 0.6735 0.3200 Zn
0.1644 0.6618 0.5147 Zn
0.4980 0.9992 0.3515 Zn
0.8520 0.7054 0.2514 Si
0.8548 0.0005 0.7510 Si
0.3554 0.0049 0.7487 Si

(3)
PBE InSb3Pb4O13, relaxed; corrected total energy (MP2020 scheme) = -6.33 eV/atom; space-group type = R3m; calculated formation energy = -1.84 eV per atom; E_tot = -5.903 eV/atom
1.0
6.5586 -3.8125 0.0000
6.5586 3.8125 0.0000
4.3424 0.0000 6.2204
O Pb Sb In
13 4 3 1
direct
0.4186 0.8464 0.4186 O
0.1835 0.1835 0.5771 O
0.1835 0.5771 0.1835 O
0.8181 0.8181 0.4221 O
0.1224 0.1224 0.1224 O
0.8464 0.4186 0.4186 O
0.5793 0.1567 0.5793 O
0.1567 0.5793 0.5793 O
0.5793 0.5793 0.1567 O
0.4221 0.8181 0.8181 O
0.5771 0.1835 0.1835 O
0.8181 0.4221 0.8181 O
0.4186 0.4186 0.8464 O
0.0007 0.5008 0.0007 Pb
0.9987 0.9987 0.9987 Pb
0.0007 0.0007 0.5008 Pb
0.5008 0.0007 0.0007 Pb
0.4999 0.4999 0.0009 Sb
0.0009 0.4999 0.4999 Sb
0.4999 0.0009 0.4999 Sb
0.4999 0.4999 0.4999 In

(4)
PBE K4Cd2S4O19, relaxed; corrected total energy (MP2020 scheme) = -5.51 eV/atom; space-group type = P2_1/c; calculated formation energy = -1.48 eV per atom; E_tot = -5.401 eV/atom; distance to the lowest polymorph of the same formula = 0.00 eV per formula unit
1.0
9.7987 0.0000 0.0000
0.0000 9.8970 0.0000
0.0000 4.2449 19.7475
O S K Cd
76 16 16 8
direct
0.6398 0.7362 0.2095 O
0.0563 0.9840 0.6062 O
0.5563 0.0160 0.8938 O
0.1409 0.7775 0.2069 O
0.2477 0.1008 0.0281 O
0.7866 0.4872 0.4397 O
0.3591 0.7775 0.7069 O
0.4718 0.4983 0.6373 O
0.7523 0.8992 0.9719 O
0.6535 0.7407 0.6430 O
0.8605 0.7954 0.8858 O
0.2427 0.7629 0.5495 O
0.5626 0.3220 0.0123 O
0.8303 0.1790 0.6803 O
0.3320 0.1314 0.2652 O
0.5282 0.5017 0.3627 O
0.0626 0.6780 0.4877 O
0.6580 0.6173 0.7626 O
0.3602 0.2638 0.7905 O
0.8556 0.4164 0.6945 O
0.6395 0.7954 0.3858 O
0.1444 0.5836 0.3055 O
0.4437 0.9840 0.1062 O
0.8591 0.2225 0.7931 O
0.7573 0.2371 0.4505 O
0.5445 0.3543 0.8908 O
0.6697 0.1790 0.1803 O
0.4648 0.5622 0.4007 O
0.0282 0.4983 0.1373 O
0.2866 0.5128 0.0603 O
0.1680 0.1314 0.7652 O
0.3605 0.2046 0.6142 O
0.0445 0.6457 0.6092 O
0.7134 0.4872 0.9397 O
0.4779 0.0179 0.5772 O
0.3303 0.8210 0.8197 O
0.6462 0.2871 0.7306 O
0.1398 0.2638 0.2905 O
0.6680 0.8686 0.7348 O
0.2573 0.7629 0.0495 O
0.9648 0.4378 0.0993 O
0.1395 0.2046 0.1142 O
0.6409 0.2225 0.2931 O
0.3420 0.3827 0.2374 O
0.8602 0.7362 0.7095 O
0.1535 0.2593 0.8570 O
0.4374 0.6780 0.9877 O
0.6444 0.4164 0.1945 O
0.9547 0.7581 0.0000 O
0.5453 0.7581 0.5000 O
0.9374 0.3220 0.5123 O
0.1697 0.8210 0.3197 O
0.8465 0.7407 0.1430 O
0.3556 0.5836 0.8055 O
0.8538 0.2871 0.2306 O
0.3538 0.7129 0.2694 O
0.1462 0.7129 0.7694 O
0.4547 0.2419 0.5000 O
0.9779 0.9821 0.9228 O
0.5352 0.4378 0.5993 O
0.9718 0.5017 0.8627 O
0.0352 0.5622 0.9007 O
0.4555 0.6457 0.1092 O
0.2134 0.5128 0.5603 O
0.1580 0.3827 0.7374 O
0.8320 0.8686 0.2348 O
0.3465 0.2593 0.3570 O
0.7427 0.2371 0.9505 O
0.7477 0.8992 0.4719 O
0.0453 0.2419 0.0000 O
0.9437 0.0160 0.3938 O
0.2523 0.1008 0.5281 O
0.9555 0.3543 0.3908 O
0.8420 0.6173 0.2626 O
0.0221 0.0179 0.0772 O
0.5221 0.9821 0.4228 O
0.7075 0.7412 0.7129 S
0.3581 0.6464 0.0515 S
0.6419 0.3536 0.9485 S
0.2925 0.2588 0.2871 S
0.1152 0.1412 0.0557 S
0.7989 0.2761 0.7249 S
0.8848 0.8588 0.9443 S
0.2989 0.7239 0.7751 S
0.7011 0.2761 0.2249 S
0.2075 0.2588 0.7871 S
0.1419 0.6464 0.5515 S
0.8581 0.3536 0.4485 S
0.7925 0.7412 0.2129 S
0.6152 0.8588 0.4443 S
0.3848 0.1412 0.5557 S
0.2011 0.7239 0.2751 S
0.2961 0.4009 0.9450 K
0.7695 0.0503 0.5715 K
0.4062 0.2668 0.1251 K
0.5365 0.9453 0.2680 K
0.5938 0.7332 0.8749 K
0.2305 0.9497 0.4285 K
0.7305 0.0503 0.0715 K
0.0938 0.2668 0.6251 K
0.7039 0.5991 0.0550 K
0.9635 0.9453 0.7680 K
0.2039 0.4009 0.4450 K
0.4635 0.0547 0.7320 K
0.7961 0.5991 0.5550 K
0.2695 0.9497 0.9285 K
0.9062 0.7332 0.3749 K
0.0365 0.0547 0.2320 K
0.4376 0.7888 0.5993 Cd
0.0624 0.7888 0.0993 Cd
0.4803 0.5675 0.2210 Cd
0.9803 0.4325 0.2790 Cd
0.0197 0.5675 0.7210 Cd
0.5624 0.2112 0.4007 Cd
0.5197 0.4325 0.7790 Cd
0.9376 0.2112 0.9007 Cd

(5)
PBE SiO2, relaxed; corrected total energy (MP2020 scheme) = -8.33 eV/atom; space-group type = I4_1/amd; calculated formation energy = -3.23 eV per atom; E_tot = -7.877 eV/atom
1.0
-5.0693 5.0693 10.4038
5.0693 -5.0693 10.4038
5.0693 5.0693 -10.4038
Si O
16 32
direct
0.7207 0.7317 0.3086 Si
0.5880 0.2793 0.0110 Si
0.2683 0.5770 0.9890 Si
0.4230 0.7317 0.0110 Si
0.0293 0.8380 0.5110 Si
0.4230 0.4120 0.6914 Si
0.3270 0.8380 0.8086 Si
0.2683 0.2793 0.6914 Si
0.1620 0.6730 0.1914 Si
0.3270 0.5183 0.4890 Si
0.5880 0.5770 0.3086 Si
0.0293 0.5183 0.1914 Si
0.1620 0.9707 0.4890 Si
0.7207 0.4120 0.9890 Si
0.4817 0.9707 0.8086 Si
0.4817 0.6730 0.5110 Si
0.5947 0.6250 0.4697 O
0.5845 0.3678 0.7834 O
0.7221 0.5773 0.1448 O
0.7002 0.2998 0.0000 O
0.5947 0.1250 0.9697 O
0.4227 0.5675 0.1448 O
0.3273 0.6825 0.3552 O
0.4502 0.9502 0.9004 O
0.3750 0.4053 0.5303 O
0.2998 0.7002 0.0000 O
0.1655 0.4489 0.2834 O
0.1989 0.4155 0.7834 O
0.1655 0.8822 0.7166 O
0.1178 0.8345 0.2834 O
0.2998 0.2998 0.5996 O
0.5845 0.8011 0.2166 O
0.4325 0.5773 0.8552 O
0.0279 0.6727 0.3552 O
0.8750 0.8447 0.4697 O
0.1553 0.1250 0.5303 O
0.7002 0.7002 0.4004 O
0.3750 0.8447 0.9697 O
0.4227 0.2779 0.8552 O
0.0498 0.5498 0.0996 O
0.8750 0.4053 0.0303 O
0.1553 0.6250 0.0303 O
0.6322 0.4155 0.2166 O
0.4502 0.5498 0.5000 O
0.5511 0.8345 0.7166 O
0.3273 0.9721 0.6448 O
0.3175 0.6727 0.6448 O
0.0498 0.9502 0.5000 O

(6)
PBE Ba3LiTi3O8, relaxed; corrected total energy (MP2020 scheme) = -7.76 eV/atom; space-group type = P1; calculated formation energy = -3.03 eV per atom; E_tot = -7.393 eV/atom; distance to the lowest polymorph of the same formula = 0.33 eV per formula unit
1.0
5.8816 -0.0199 0.6268
-2.9583 5.0797 -0.6231
0.7051 -0.3987 7.8324
O Ti Ba Li
8 3 3 1
direct
0.7948 0.7220 0.6591 O
0.5454 0.9278 0.0537 O
0.2803 0.2074 0.6572 O
0.0704 0.4545 0.0519 O
0.7770 0.2251 0.6710 O
0.1815 0.3101 0.3418 O
0.5657 0.4322 0.0028 O
0.6933 0.8194 0.3437 O
0.3739 0.6206 0.1546 Ti
0.9657 0.0329 0.4984 Ti
0.5895 0.4107 0.7577 Ti
0.2896 0.7075 0.6048 Ba
0.0613 0.9370 0.0575 Ba
0.6757 0.3210 0.3220 Ba
0.7919 0.2053 0.9162 Li